Record 1
! SiH27C10N3F2 PBE-GGA relaxed; values from VASP
! magnetic moment = 0.0 μB/f.u.
! MP2020-corrected energy = -464.15 eV per cell
! space group = P6_3 (173)
! E = -5.3756 eV per atom
! energy relative to the elements = -13.9 eV/f.u.
&SYSTEM
  ibrav = 0, nat = 86, ntyp = 5
/
ATOMIC_SPECIES
H 1.01 H.upf
N 14.01 N.upf
C 12.01 C.upf
Si 28.09 Si.upf
F 19.00 F.upf
ATOMIC_POSITIONS crystal
H 0.026 0.363 0.583
H 0.127 0.698 0.996
H 0.463 0.452 0.750
H 0.981 0.705 0.432
H 0.838 0.615 0.909
H 0.571 0.873 0.996
H 0.440 0.149 0.003
H 0.101 0.751 0.695
H 0.863 0.684 0.577
H 0.851 0.291 0.003
H 0.548 0.011 0.750
H 0.873 0.302 0.496
H 0.974 0.637 0.083
H 0.989 0.537 0.750
H 0.724 0.019 0.432
H 0.615 0.776 0.409
H 0.776 0.162 0.909
H 0.560 0.851 0.503
H 0.137 0.316 0.077
H 0.698 0.571 0.496
H 0.709 0.560 0.003
H 0.276 0.981 0.932
H 0.011 0.463 0.250
H 0.295 0.276 0.432
H 0.019 0.295 0.932
H 0.162 0.385 0.409
H 0.684 0.821 0.077
H 0.821 0.137 0.577
H 0.337 0.974 0.583
H 0.385 0.224 0.909
H 0.899 0.249 0.305
H 0.249 0.351 0.695
H 0.649 0.899 0.805
H 0.663 0.026 0.083
H 0.537 0.548 0.250
H 0.149 0.709 0.503
H 0.751 0.649 0.195
H 0.705 0.724 0.932
H 0.302 0.429 0.996
H 0.452 0.989 0.250
H 0.179 0.863 0.077
H 0.637 0.663 0.583
H 0.249 0.351 0.805
H 0.649 0.899 0.695
H 0.429 0.127 0.496
H 0.351 0.101 0.195
H 0.316 0.179 0.577
H 0.101 0.751 0.805
H 0.224 0.838 0.409
H 0.751 0.649 0.305
H 0.899 0.249 0.195
H 0.351 0.101 0.305
H 0.363 0.337 0.083
H 0.291 0.440 0.503
N 0.045 0.181 0.500
N 0.955 0.819 0.000
N 0.864 0.045 0.000
N 0.181 0.136 0.000
N 0.819 0.864 0.500
N 0.136 0.955 0.500
C 0.432 0.111 0.250
C 0.248 0.315 0.041
C 0.791 0.672 0.959
C 0.000 0.000 0.000
C 0.328 0.120 0.959
C 0.209 0.328 0.459
C 0.880 0.209 0.959
C 0.933 0.248 0.541
C 0.067 0.752 0.041
C 0.679 0.568 0.250
C 0.889 0.321 0.250
C 0.752 0.685 0.541
C 0.568 0.889 0.750
C 0.000 0.000 0.500
C 0.315 0.067 0.541
C 0.120 0.791 0.459
C 0.111 0.679 0.750
C 0.321 0.432 0.750
C 0.672 0.880 0.459
C 0.685 0.933 0.041
Si 0.333 0.667 0.751
Si 0.667 0.333 0.251
F 0.333 0.667 0.637
F 0.667 0.333 0.137
F 0.333 0.667 0.863
F 0.667 0.333 0.363
CELL_PARAMETERS angstrom
-4.147 -7.183 0.000
-4.147 7.183 0.000
0.000 0.000 -16.218

Record 2
! SiH12C2N2F6 PBE-GGA relaxed; values from VASP
! magnetic moment = 0.0 μB/f.u.
! MP2020-corrected energy = -246.30 eV per cell
! space group = C2/c (15)
! polymorph energy (0 for the lowest one) = 8 kJ/mol of formula units
! E = -5.2339 eV per atom
! energy relative to the elements = -30.4 eV/f.u.
&SYSTEM
  ibrav = 0, nat = 46, ntyp = 5
/
ATOMIC_SPECIES
F 19.00 F.upf
H 1.01 H.upf
Si 28.09 Si.upf
N 14.01 N.upf
C 12.01 C.upf
ATOMIC_POSITIONS crystal
F 0.180 0.782 0.074
F 0.377 0.623 0.250
F 0.623 0.377 0.750
F 0.618 0.023 0.734
F 0.782 0.180 0.574
F 0.977 0.382 0.766
F 0.382 0.977 0.266
F 0.820 0.218 0.926
F 0.218 0.820 0.426
F 0.023 0.618 0.234
F 0.975 0.025 0.750
F 0.025 0.975 0.250
H 0.395 0.177 0.644
H 0.605 0.823 0.356
H 0.743 0.519 0.428
H 0.670 0.896 0.063
H 0.257 0.481 0.572
H 0.754 0.959 0.482
H 0.041 0.246 0.018
H 0.519 0.743 0.928
H 0.635 0.665 0.560
H 0.177 0.395 0.144
H 0.335 0.365 0.940
H 0.181 0.153 0.144
H 0.819 0.847 0.856
H 0.959 0.754 0.982
H 0.481 0.257 0.072
H 0.365 0.335 0.440
H 0.847 0.819 0.356
H 0.896 0.670 0.563
H 0.665 0.635 0.060
H 0.330 0.104 0.937
H 0.153 0.181 0.644
H 0.104 0.330 0.437
H 0.246 0.041 0.518
H 0.823 0.605 0.856
Si 0.202 0.798 0.250
Si 0.798 0.202 0.750
N 0.738 0.825 0.418
N 0.825 0.738 0.918
N 0.175 0.262 0.082
N 0.262 0.175 0.582
C 0.342 0.246 0.002
C 0.658 0.754 0.998
C 0.246 0.342 0.502
C 0.754 0.658 0.498
CELL_PARAMETERS angstrom
2.436 3.985 5.063
6.391 -0.858 -2.421
-2.911 7.269 -6.242

Record 3
! SiH12C2N6F6 PBE-GGA relaxed; values from VASP
! magnetic moment = 0.0 μB/f.u.
! MP2020-corrected energy = -158.41 eV per cell
! space group = C2/m (12)
! E = -5.7645 eV per atom
! energy relative to the elements = -32.3 eV/f.u.
&SYSTEM
  ibrav = 0, nat = 27, ntyp = 5
/
ATOMIC_SPECIES
H 1.01 H.upf
N 14.01 N.upf
F 19.00 F.upf
Si 28.09 Si.upf
C 12.01 C.upf
ATOMIC_POSITIONS crystal
H 0.012 0.454 0.749
H 0.546 0.988 0.251
H 0.545 0.306 0.251
H 0.306 0.545 0.251
H 0.988 0.305 0.258
H 0.454 0.012 0.749
H 0.455 0.694 0.749
H 0.012 0.695 0.742
H 0.694 0.455 0.749
H 0.695 0.012 0.742
H 0.305 0.988 0.258
H 0.988 0.546 0.251
N 0.620 0.620 0.725
N 0.064 0.381 0.274
N 0.380 0.380 0.275
N 0.381 0.064 0.274
N 0.936 0.619 0.726
N 0.619 0.936 0.726
F 0.853 0.853 0.164
F 0.183 0.850 0.179
F 0.147 0.147 0.836
F 0.817 0.150 0.821
F 0.850 0.183 0.179
F 0.150 0.817 0.821
Si 0.000 0.000 0.000
C 0.276 0.276 0.272
C 0.724 0.724 0.728
CELL_PARAMETERS angstrom
-6.409 0.299 -3.572
-6.075 -2.756 3.068
-3.607 4.569 2.284

Copy entry 3 word for word.
! SiH12C2N6F6 PBE-GGA relaxed; values from VASP
! magnetic moment = 0.0 μB/f.u.
! MP2020-corrected energy = -158.41 eV per cell
! space group = C2/m (12)
! E = -5.7645 eV per atom
! energy relative to the elements = -32.3 eV/f.u.
&SYSTEM
  ibrav = 0, nat = 27, ntyp = 5
/
ATOMIC_SPECIES
H 1.01 H.upf
N 14.01 N.upf
F 19.00 F.upf
Si 28.09 Si.upf
C 12.01 C.upf
ATOMIC_POSITIONS crystal
H 0.012 0.454 0.749
H 0.546 0.988 0.251
H 0.545 0.306 0.251
H 0.306 0.545 0.251
H 0.988 0.305 0.258
H 0.454 0.012 0.749
H 0.455 0.694 0.749
H 0.012 0.695 0.742
H 0.694 0.455 0.749
H 0.695 0.012 0.742
H 0.305 0.988 0.258
H 0.988 0.546 0.251
N 0.620 0.620 0.725
N 0.064 0.381 0.274
N 0.380 0.380 0.275
N 0.381 0.064 0.274
N 0.936 0.619 0.726
N 0.619 0.936 0.726
F 0.853 0.853 0.164
F 0.183 0.850 0.179
F 0.147 0.147 0.836
F 0.817 0.150 0.821
F 0.850 0.183 0.179
F 0.150 0.817 0.821
Si 0.000 0.000 0.000
C 0.276 0.276 0.272
C 0.724 0.724 0.728
CELL_PARAMETERS angstrom
-6.409 0.299 -3.572
-6.075 -2.756 3.068
-3.607 4.569 2.284

- Which value of MP2020-corrected energy does entry 3 give?
  -158.41 eV per cell

- Look up the energy relative to the elements of the second one.
  -30.4 eV/f.u.

What did the first record say?
! SiH27C10N3F2 PBE-GGA relaxed; values from VASP
! magnetic moment = 0.0 μB/f.u.
! MP2020-corrected energy = -464.15 eV per cell
! space group = P6_3 (173)
! E = -5.3756 eV per atom
! energy relative to the elements = -13.9 eV/f.u.
&SYSTEM
  ibrav = 0, nat = 86, ntyp = 5
/
ATOMIC_SPECIES
H 1.01 H.upf
N 14.01 N.upf
C 12.01 C.upf
Si 28.09 Si.upf
F 19.00 F.upf
ATOMIC_POSITIONS crystal
H 0.026 0.363 0.583
H 0.127 0.698 0.996
H 0.463 0.452 0.750
H 0.981 0.705 0.432
H 0.838 0.615 0.909
H 0.571 0.873 0.996
H 0.440 0.149 0.003
H 0.101 0.751 0.695
H 0.863 0.684 0.577
H 0.851 0.291 0.003
H 0.548 0.011 0.750
H 0.873 0.302 0.496
H 0.974 0.637 0.083
H 0.989 0.537 0.750
H 0.724 0.019 0.432
H 0.615 0.776 0.409
H 0.776 0.162 0.909
H 0.560 0.851 0.503
H 0.137 0.316 0.077
H 0.698 0.571 0.496
H 0.709 0.560 0.003
H 0.276 0.981 0.932
H 0.011 0.463 0.250
H 0.295 0.276 0.432
H 0.019 0.295 0.932
H 0.162 0.385 0.409
H 0.684 0.821 0.077
H 0.821 0.137 0.577
H 0.337 0.974 0.583
H 0.385 0.224 0.909
H 0.899 0.249 0.305
H 0.249 0.351 0.695
H 0.649 0.899 0.805
H 0.663 0.026 0.083
H 0.537 0.548 0.250
H 0.149 0.709 0.503
H 0.751 0.649 0.195
H 0.705 0.724 0.932
H 0.302 0.429 0.996
H 0.452 0.989 0.250
H 0.179 0.863 0.077
H 0.637 0.663 0.583
H 0.249 0.351 0.805
H 0.649 0.899 0.695
H 0.429 0.127 0.496
H 0.351 0.101 0.195
H 0.316 0.179 0.577
H 0.101 0.751 0.805
H 0.224 0.838 0.409
H 0.751 0.649 0.305
H 0.899 0.249 0.195
H 0.351 0.101 0.305
H 0.363 0.337 0.083
H 0.291 0.440 0.503
N 0.045 0.181 0.500
N 0.955 0.819 0.000
N 0.864 0.045 0.000
N 0.181 0.136 0.000
N 0.819 0.864 0.500
N 0.136 0.955 0.500
C 0.432 0.111 0.250
C 0.248 0.315 0.041
C 0.791 0.672 0.959
C 0.000 0.000 0.000
C 0.328 0.120 0.959
C 0.209 0.328 0.459
C 0.880 0.209 0.959
C 0.933 0.248 0.541
C 0.067 0.752 0.041
C 0.679 0.568 0.250
C 0.889 0.321 0.250
C 0.752 0.685 0.541
C 0.568 0.889 0.750
C 0.000 0.000 0.500
C 0.315 0.067 0.541
C 0.120 0.791 0.459
C 0.111 0.679 0.750
C 0.321 0.432 0.750
C 0.672 0.880 0.459
C 0.685 0.933 0.041
Si 0.333 0.667 0.751
Si 0.667 0.333 0.251
F 0.333 0.667 0.637
F 0.667 0.333 0.137
F 0.333 0.667 0.863
F 0.667 0.333 0.363
CELL_PARAMETERS angstrom
-4.147 -7.183 0.000
-4.147 7.183 0.000
0.000 0.000 -16.218